Crystalline Li3Fe3O8 at its relaxed geometry. Source: the Materials Project database, functional GGA+U.

Properties
calculated density: 3.7 g cm⁻³
total moment: 0.7859 μB per atom
total energy: -5.78 eV/atom
ΔH_f (0 K): -154.33 kJ per mole of atoms

Cell: 5.8604 5.8604 14.4921 Å, 90.00 90.00 120.00°
Space group R-3m (No. 166, hexagonal axes)
Symmetry-distinct sites (fractional):
Li 0.0000 0.0000 0.0000 [3 per cell]
Li 0.0000 0.0000 0.3816 [6 per cell]
Fe 0.0000 0.5000 0.5000 [9 per cell]
O 0.0000 0.0000 0.2444 [6 per cell]
O 0.0318 0.5159 0.7635 [18 per cell]